LiV4O8: relaxed, GGA+U.

Summary:
* total energy: -7.274 eV per atom
* excess energy over the best structure of this formula in the dataset: 210 meV per atom

Cell lengths 5.4612, 5.4704, 6.2558 Å; angles 91.86, 91.18, 115.66 degrees
Last column: nearest neighbours and their distance in Å.
Fractional coordinates of all 13 atoms:
Li 0.0000 0.0000 0.0000  4 O 1.88-1.93
V 0.2216 0.7712 0.2630  4 O 1.89-2.11
V 0.2306 0.7852 0.7281  4 O 1.89-2.11
V 0.5548 0.4487 0.4946  4 O 1.80-1.89
V 0.7420 0.2621 0.9955  4 O 1.67-1.84
O 0.3717 0.0509 0.9856  2 V 1.84-2.03, 1 Li 1.93
O 0.3805 0.0656 0.4859  3 V 1.89-2.11
O 0.4167 0.5647 0.7124  2 V 1.80-1.89
O 0.4423 0.5851 0.2758  2 V 1.80-1.89
O 0.8497 0.1393 0.7889  1 V 1.67
O 0.8587 0.1582 0.2059  1 V 1.67
O 0.9382 0.6231 0.5050  3 V 1.89-2.11
O 0.9565 0.6319 0.0052  2 V 1.84-2.04, 1 Li 1.92

***

NaVO2: relaxed, GGA+U.

Summary:
* total energy: -6.586 eV per atom

Cell lengths 3.0112, 6.3701, 5.2851 Å; angles 66.47, 90.00, 76.32 degrees
Last column: nearest neighbours and their distance in Å.
Fractional coordinates of all 8 atoms:
O 0.9005 0.1990 0.5658  3 V 2.06-2.11
O 0.4006 0.1990 0.0658  3 V 2.06-2.11
O 0.0995 0.8010 0.4342  3 V 2.06-2.11
Na 0.2500 0.5000 0.2500  6 O 2.43-2.44
V 0.5000 0.0000 0.5000  6 O 2.06-2.11
Na 0.7500 0.5000 0.7500  6 O 2.43-2.44
V 0.0000 0.0000 0.0000  6 O 2.06-2.11
O 0.5994 0.8010 0.9342  3 V 2.06-2.11

***

K2Na2NbW3O12: relaxed, GGA+U.

Summary:
* total energy: -6.912 eV per atom

Cell lengths 3.9929, 8.0310, 8.0244 Å; angles 90.00, 90.00, 90.00 degrees
Last column: nearest neighbours and their distance in Å.
Fractional coordinates of all 20 atoms:
K 0.0000 0.2488 0.0000  12 O 2.82-2.88
K 0.0000 0.7512 0.0000  12 O 2.82-2.88
Na 0.0000 0.2487 0.5027  12 O 2.80-2.84
Na 0.0000 0.7513 0.5027  12 O 2.80-2.84
Nb 0.5000 0.0000 0.7485  6 O 1.99-2.04
W 0.5000 0.0000 0.2531  6 O 1.94-2.01
W 0.5000 0.5000 0.2533  6 O 2.00-2.10
W 0.5000 0.5000 0.7492  6 O 1.93-2.00
O 0.0000 0.0000 0.2552  2 W 2.00
O 0.0000 0.0000 0.7472  2 Nb 2.00
O 0.0000 0.5000 0.2553  2 W 2.00
O 0.0000 0.5000 0.7474  2 W 2.00
O 0.5000 0.0000 0.0029  1 W 2.01, 1 Nb 2.04
O 0.5000 0.0000 0.5007  1 W 1.99, 1 Nb 1.99
O 0.5000 0.2413 0.2558  2 W 1.94-2.08
O 0.5000 0.2511 0.7471  1 W 2.00, 1 Nb 2.02
O 0.5000 0.5000 0.5089  2 W 1.93-2.05
O 0.5000 0.5000 0.9922  2 W 1.95-2.10
O 0.5000 0.7489 0.7471  1 W 2.00, 1 Nb 2.02
O 0.5000 0.7587 0.2558  2 W 1.94-2.08

***

CaFeMo2O6: relaxed, GGA+U.

Summary:
* total energy: -6.938 eV per atom

Cell lengths 5.3496, 5.6829, 9.6567 Å; angles 90.00, 122.05, 90.00 degrees
Last column: nearest neighbours and their distance in Å.
Fractional coordinates of all 20 atoms:
Ca 0.0000 0.0000 0.0000  4 O 2.18-2.42
Ca 0.0000 0.5000 0.5000  4 O 2.18-2.42
Fe 0.5000 0.0000 0.5000  6 O 1.95-2.18
Fe 0.5000 0.5000 0.0000  6 O 1.95-2.18
Mo 0.1971 0.0390 0.7044  6 O 2.11-2.22
Mo 0.1971 0.4610 0.2044  6 O 2.11-2.22
Mo 0.8029 0.5390 0.7956  6 O 2.11-2.22
Mo 0.8029 0.9610 0.2956  6 O 2.11-2.22
O 0.1585 0.1556 0.4814  1 Fe 1.95, 2 Mo 2.11-2.16, 1 Ca 2.18
O 0.1585 0.3444 0.9814  1 Fe 1.95, 2 Mo 2.11-2.16, 1 Ca 2.18
O 0.1800 0.7260 0.3577  2 Mo 2.15-2.22, 1 Fe 2.18
O 0.1800 0.7740 0.8577  2 Mo 2.15-2.22, 1 Fe 2.18
O 0.4459 0.1455 0.2911  1 Fe 2.05, 2 Mo 2.12-2.16
O 0.4459 0.3545 0.7911  1 Fe 2.05, 2 Mo 2.12-2.16
O 0.5541 0.6455 0.2089  1 Fe 2.05, 2 Mo 2.12-2.16
O 0.5541 0.8545 0.7089  1 Fe 2.05, 2 Mo 2.12-2.16
O 0.8200 0.2260 0.1423  2 Mo 2.15-2.22, 1 Fe 2.18
O 0.8200 0.2740 0.6423  2 Mo 2.15-2.22, 1 Fe 2.18
O 0.8415 0.6556 0.0186  1 Fe 1.95, 2 Mo 2.11-2.16, 1 Ca 2.18
O 0.8415 0.8444 0.5186  1 Fe 1.95, 2 Mo 2.11-2.16, 1 Ca 2.18

***

KV3Se2O12: relaxed, GGA+U.

Summary:
* total energy: -6.498 eV per atom

Cell lengths 7.1586, 7.1586, 11.9322 Å; angles 90.00, 90.00, 120.00 degrees
Last column: nearest neighbours and their distance in Å.
Fractional coordinates of all 36 atoms:
K 0.3333 0.6667 0.0000  6 O 3.02-3.33
K 0.6667 0.3333 0.5000  6 O 3.02-3.33
V 0.1265 0.3331 0.3350  2 O 1.70-1.71
V 0.2066 0.8735 0.3350  2 O 1.70-1.71
V 0.3331 0.2066 0.8350  2 O 1.70-1.71
V 0.6669 0.7934 0.3350  2 O 1.70-1.71
V 0.7934 0.1265 0.8350  2 O 1.70-1.71
V 0.8735 0.6669 0.8350  2 O 1.70-1.71
Se 0.0000 0.0000 0.1170  3 O 1.74
Se 0.0000 0.0000 0.6170  3 O 1.74
Se 0.3333 0.6667 0.5564  3 O 1.73
Se 0.6667 0.3333 0.0564  3 O 1.73
O 0.0826 0.5416 0.3102  1 V 1.70
O 0.1224 0.8681 0.1793  1 Se 1.74, 1 V 1.95
O 0.1255 0.8734 0.8663  1 V 1.71
O 0.1266 0.2522 0.8663  1 V 1.71
O 0.1319 0.2543 0.1793  1 Se 1.74, 1 V 1.95
O 0.1994 0.7866 0.4955  1 Se 1.73
O 0.2134 0.4129 0.4955  1 Se 1.73
O 0.2522 0.1255 0.3663  1 V 1.71
O 0.2543 0.1224 0.6793  1 Se 1.74, 1 V 1.95
O 0.4129 0.1994 0.9955  1 Se 1.73
O 0.4584 0.5411 0.3102  1 V 1.70
O 0.4589 0.9174 0.3102  1 V 1.70
O 0.5411 0.0826 0.8102  1 V 1.70
O 0.5416 0.4589 0.8102  1 V 1.70
O 0.5871 0.8006 0.4955  1 Se 1.73
O 0.7457 0.8776 0.1793  1 Se 1.74, 1 V 1.95
O 0.7478 0.8745 0.8663  1 V 1.71
O 0.7866 0.5871 0.9955  1 Se 1.73
O 0.8006 0.2134 0.9955  1 Se 1.73
O 0.8681 0.7457 0.6793  1 Se 1.74, 1 V 1.95
O 0.8734 0.7478 0.3663  1 V 1.71
O 0.8745 0.1266 0.3663  1 V 1.71
O 0.8776 0.1319 0.6793  1 Se 1.74, 1 V 1.95
O 0.9174 0.4584 0.8102  1 V 1.70

***

Na3V2Ge3O12: relaxed, GGA+U.

Summary:
* total energy: -6.397 eV per atom

Cell lengths 10.6619, 10.6619, 10.6619 Å; angles 109.47, 109.47, 109.47 degrees
Last column: nearest neighbours and their distance in Å.
Fractional coordinates of all 80 atoms:
Na 0.1250 0.2500 0.3750  8 O 2.41-2.57
Na 0.1250 0.3750 0.7500  8 O 2.41-2.57
Na 0.2500 0.3750 0.1250  8 O 2.41-2.57
Na 0.2500 0.8750 0.6250  8 O 2.41-2.57
Na 0.3750 0.1250 0.2500  8 O 2.41-2.57
Na 0.3750 0.7500 0.1250  8 O 2.41-2.57
Na 0.6250 0.2500 0.8750  8 O 2.41-2.57
Na 0.6250 0.8750 0.7500  8 O 2.41-2.57
Na 0.7500 0.1250 0.3750  8 O 2.41-2.57
Na 0.7500 0.6250 0.8750  8 O 2.41-2.57
Na 0.8750 0.6250 0.2500  8 O 2.41-2.57
Na 0.8750 0.7500 0.6250  8 O 2.41-2.57
V 0.0000 0.0000 0.0000  6 O 1.93
V 0.0000 0.0000 0.5000  6 O 1.93
V 0.0000 0.5000 0.0000  6 O 1.93
V 0.0000 0.5000 0.5000  6 O 1.93
V 0.5000 0.0000 0.0000  6 O 1.93
V 0.5000 0.0000 0.5000  6 O 1.93
V 0.5000 0.5000 0.0000  6 O 1.93
V 0.5000 0.5000 0.5000  6 O 1.93
Ge 0.1250 0.7500 0.8750  4 O 1.78
Ge 0.1250 0.8750 0.2500  4 O 1.78
Ge 0.2500 0.1250 0.8750  4 O 1.78
Ge 0.2500 0.6250 0.3750  4 O 1.78
Ge 0.3750 0.2500 0.6250  4 O 1.78
Ge 0.3750 0.6250 0.7500  4 O 1.78
Ge 0.6250 0.3750 0.2500  4 O 1.78
Ge 0.6250 0.7500 0.3750  4 O 1.78
Ge 0.7500 0.3750 0.6250  4 O 1.78
Ge 0.7500 0.8750 0.1250  4 O 1.78
Ge 0.8750 0.1250 0.7500  4 O 1.78
Ge 0.8750 0.2500 0.1250  4 O 1.78
O 0.0107 0.1917 0.1119  1 Ge 1.78, 1 V 1.93
O 0.0107 0.3189 0.8987  1 Ge 1.78, 1 V 1.93
O 0.0798 0.6917 0.6811  1 Ge 1.78, 1 V 1.93
O 0.0798 0.8881 0.3987  1 Ge 1.78, 1 V 1.93
O 0.1013 0.6119 0.4202  1 Ge 1.78, 1 V 1.93
O 0.1013 0.9893 0.6811  1 Ge 1.78, 1 V 1.93
O 0.1119 0.0107 0.1917  1 Ge 1.78, 1 V 1.93
O 0.1119 0.6013 0.9202  1 Ge 1.78, 1 V 1.93
O 0.1811 0.1917 0.5798  1 Ge 1.78, 1 V 1.93
O 0.1811 0.4893 0.6013  1 Ge 1.78, 1 V 1.93
O 0.1917 0.1119 0.0107  1 Ge 1.78, 1 V 1.93
O 0.1917 0.5798 0.1811  1 Ge 1.78, 1 V 1.93
O 0.3083 0.3189 0.9202  1 Ge 1.78, 1 V 1.93
O 0.3083 0.4893 0.3881  1 Ge 1.78, 1 V 1.93
O 0.3189 0.8987 0.0107  1 Ge 1.78, 1 V 1.93
O 0.3189 0.9202 0.3083  1 Ge 1.78, 1 V 1.93
O 0.3881 0.3083 0.4893  1 Ge 1.78, 1 V 1.93
O 0.3881 0.5798 0.8987  1 Ge 1.78, 1 V 1.93
O 0.3987 0.0798 0.8881  1 Ge 1.78, 1 V 1.93
O 0.3987 0.8189 0.5107  1 Ge 1.78, 1 V 1.93
O 0.4202 0.1013 0.6119  1 Ge 1.78, 1 V 1.93
O 0.4202 0.8189 0.8083  1 Ge 1.78, 1 V 1.93
O 0.4893 0.3881 0.3083  1 Ge 1.78, 1 V 1.93
O 0.4893 0.6013 0.1811  1 Ge 1.78, 1 V 1.93
O 0.5107 0.3987 0.8189  1 Ge 1.78, 1 V 1.93
O 0.5107 0.6119 0.6917  1 Ge 1.78, 1 V 1.93
O 0.5798 0.1811 0.1917  1 Ge 1.78, 1 V 1.93
O 0.5798 0.8987 0.3881  1 Ge 1.78, 1 V 1.93
O 0.6013 0.1811 0.4893  1 Ge 1.78, 1 V 1.93
O 0.6013 0.9202 0.1119  1 Ge 1.78, 1 V 1.93
O 0.6119 0.4202 0.1013  1 Ge 1.78, 1 V 1.93
O 0.6119 0.6917 0.5107  1 Ge 1.78, 1 V 1.93
O 0.6811 0.0798 0.6917  1 Ge 1.78, 1 V 1.93
O 0.6811 0.1013 0.9893  1 Ge 1.78, 1 V 1.93
O 0.6917 0.5107 0.6119  1 Ge 1.78, 1 V 1.93
O 0.6917 0.6811 0.0798  1 Ge 1.78, 1 V 1.93
O 0.8083 0.4202 0.8189  1 Ge 1.78, 1 V 1.93
O 0.8083 0.8881 0.9893  1 Ge 1.78, 1 V 1.93
O 0.8189 0.5107 0.3987  1 Ge 1.78, 1 V 1.93
O 0.8189 0.8083 0.4202  1 Ge 1.78, 1 V 1.93
O 0.8881 0.3987 0.0798  1 Ge 1.78, 1 V 1.93
O 0.8881 0.9893 0.8083  1 Ge 1.78, 1 V 1.93
O 0.8987 0.0107 0.3189  1 Ge 1.78, 1 V 1.93
O 0.8987 0.3881 0.5798  1 Ge 1.78, 1 V 1.93
O 0.9202 0.1119 0.6013  1 Ge 1.78, 1 V 1.93
O 0.9202 0.3083 0.3189  1 Ge 1.78, 1 V 1.93
O 0.9893 0.6811 0.1013  1 Ge 1.78, 1 V 1.93
O 0.9893 0.8083 0.8881  1 Ge 1.78, 1 V 1.93